Entry from the Materials Project: a relaxed Ti5P3 crystal (r2SCAN).

Values from the calculation:
M_tot   0.00 μB per cell
Crystal system   orthorhombic
VASP energy   -12.653 eV per atom
Volume   14.68 Å³ per atom
Theoretical density   4.70 g/cm³
E_form   -1.1912 eV per atom

abc: 9.7798 7.4030 6.4897
angles: 90.00 90.00 90.00
Fractional coordinates of all 32 atoms:
Ti1 0.9999 0.2500 0.0302
Ti2 0.0001 0.7500 0.9698
Ti3 0.0729 0.0451 0.6946
Ti4 0.0729 0.4549 0.6946
Ti5 0.2076 0.7500 0.3554
Ti6 0.2234 0.2500 0.3441
Ti7 0.2766 0.7500 0.8441
Ti8 0.2924 0.2500 0.8554
Ti9 0.4271 0.5451 0.1946
Ti10 0.4271 0.9549 0.1946
Ti11 0.4999 0.2500 0.4698
Ti12 0.5001 0.7500 0.5302
Ti13 0.5729 0.0451 0.8054
Ti14 0.5729 0.4549 0.8054
Ti15 0.7076 0.7500 0.1446
Ti16 0.7234 0.2500 0.1559
Ti17 0.7766 0.7500 0.6559
Ti18 0.7924 0.2500 0.6446
Ti19 0.9271 0.5451 0.3054
Ti20 0.9271 0.9549 0.3054
P1 0.0135 0.7500 0.5765
P2 0.1739 0.5091 0.0718
P3 0.1739 0.9909 0.0718
P4 0.3261 0.0091 0.5718
P5 0.3261 0.4909 0.5718
P6 0.4865 0.2500 0.0765
P7 0.5135 0.7500 0.9235
P8 0.6739 0.5091 0.4282
P9 0.6739 0.9909 0.4282
P10 0.8261 0.0091 0.9282
P11 0.8261 0.4909 0.9282
P12 0.9865 0.2500 0.4235

Entry from the Materials Project: a relaxed U3P4 crystal (r2SCAN).

Values from the calculation:
M_tot   12.00 μB per cell
Crystal system   cubic
VASP energy   -40.617 eV per atom
Volume   20.35 Å³ per atom
Theoretical density   9.77 g/cm³
E_form   -1.2123 eV per atom

abc: 7.1796 7.1796 7.1796
angles: 109.47 109.47 109.47
Fractional coordinates of all 14 atoms:
U1 0.1250 0.8750 0.2500
U2 0.2500 0.1250 0.8750
U3 0.3750 0.6250 0.7500
U4 0.6250 0.7500 0.3750
U5 0.7500 0.3750 0.6250
U6 0.8750 0.2500 0.1250
P1 0.0000 0.1607 0.5000
P2 0.0000 0.6607 0.5000
P3 0.1607 0.5000 0.0000
P4 0.3393 0.3393 0.3393
P5 0.5000 0.0000 0.1607
P6 0.5000 0.0000 0.6607
P7 0.6607 0.5000 0.0000
P8 0.8393 0.8393 0.8393

Entry from the Materials Project: a relaxed UP2 crystal (r2SCAN).

Values from the calculation:
M_tot   6.62 μB per cell
Crystal system   orthorhombic
VASP energy   -33.615 eV per atom
Volume   19.31 Å³ per atom
Theoretical density   8.60 g/cm³
E_form   -0.9662 eV per atom

abc: 8.7300 8.7300 8.7300
angles: 144.03 143.38 52.27
Fractional coordinates of all 12 atoms:
U1 0.0000 0.0000 0.0000
U2 0.2080 0.7080 0.5000
U3 0.4847 0.4847 0.0000
U4 0.7074 0.2074 0.5000
P1 0.0299 0.5299 0.5000
P2 0.0703 0.0620 0.4317
P3 0.0703 0.6386 0.0083
P4 0.1745 0.1745 0.0000
P5 0.5289 0.0289 0.5000
P6 0.6303 0.0620 0.9917
P7 0.6303 0.6386 0.5683
P8 0.6653 0.6653 0.0000

Entry from the Materials Project: a relaxed UP crystal (r2SCAN).

Values from the calculation:
M_tot   2.55 μB per cell
Crystal system   cubic
VASP energy   -45.728 eV per atom
Volume   23.29 Å³ per atom
Theoretical density   9.59 g/cm³
E_form   -1.2563 eV per atom

abc: 4.0386 4.0386 4.0386
angles: 60.00 60.00 60.00
Fractional coordinates of all 2 atoms:
U1 0.0000 0.0000 0.0000
P1 0.5000 0.5000 0.5000

Entry from the Materials Project: a relaxed UP2 crystal (r2SCAN).

Values from the calculation:
M_tot   3.03 μB per cell
Crystal system   tetragonal
VASP energy   -33.574 eV per atom
Volume   18.88 Å³ per atom
Theoretical density   8.79 g/cm³
E_form   -0.9251 eV per atom

abc: 3.7989 3.7989 7.8497
angles: 90.00 90.00 90.00
Fractional coordinates of all 6 atoms:
U1 0.2500 0.2500 0.2180
U2 0.7500 0.7500 0.7820
P1 0.2500 0.2500 0.8601
P2 0.2500 0.7500 0.5000
P3 0.7500 0.2500 0.5000
P4 0.7500 0.7500 0.1399

Entry from the Materials Project: a relaxed UV5P3 crystal (r2SCAN).

Values from the calculation:
M_tot   4.41 μB per cell
Crystal system   monoclinic
VASP energy   -20.616 eV per atom
Volume   14.03 Å³ per atom
Theoretical density   7.70 g/cm³
E_form   -0.9053 eV per atom

abc: 7.4689 3.3514 10.2541
angles: 90.00 100.33 90.00
Fractional coordinates of all 18 atoms:
U1 0.1926 0.2500 0.2795
U2 0.8074 0.7500 0.7205
V1 0.0743 0.2500 0.5940
V2 0.1298 0.7500 0.0108
V3 0.3156 0.7500 0.7676
V4 0.3773 0.2500 0.9996
V5 0.4709 0.2500 0.5913
V6 0.5291 0.7500 0.4087
V7 0.6227 0.7500 0.0004
V8 0.6844 0.2500 0.2324
V9 0.8702 0.2500 0.9892
V10 0.9257 0.7500 0.4060
P1 0.0977 0.2500 0.8355
P2 0.2520 0.7500 0.5120
P3 0.4322 0.7500 0.1718
P4 0.5678 0.2500 0.8282
P5 0.7480 0.2500 0.4880
P6 0.9023 0.7500 0.1645

Entry from the Materials Project: a relaxed V5P3 crystal (r2SCAN).

Values from the calculation:
M_tot   0.00 μB per cell
Crystal system   hexagonal
VASP energy   -13.008 eV per atom
Volume   12.40 Å³ per atom
Theoretical density   5.82 g/cm³
E_form   -0.8262 eV per atom

abc: 6.9173 6.9173 4.7863
angles: 90.00 90.00 120.00
Fractional coordinates of all 16 atoms:
V1 0.0000 0.2547 0.2500
V2 0.0000 0.7453 0.7500
V3 0.2547 0.0000 0.2500
V4 0.2547 0.2547 0.7500
V5 0.3333 0.6667 0.0000
V6 0.3333 0.6667 0.5000
V7 0.6667 0.3333 0.0000
V8 0.6667 0.3333 0.5000
V9 0.7453 0.0000 0.7500
V10 0.7453 0.7453 0.2500
P1 0.0000 0.3862 0.7500
P2 0.0000 0.6138 0.2500
P3 0.3862 0.0000 0.7500
P4 0.3862 0.3862 0.2500
P5 0.6138 0.0000 0.2500
P6 0.6138 0.6138 0.7500

Entry from the Materials Project: a relaxed V3P crystal (r2SCAN).

Values from the calculation:
M_tot   0.00 μB per cell
Crystal system   tetragonal
VASP energy   -13.532 eV per atom
Volume   12.76 Å³ per atom
Theoretical density   5.98 g/cm³
E_form   -0.7141 eV per atom

abc: 9.2990 9.2990 4.7214
angles: 90.00 90.00 90.00
Fractional coordinates of all 32 atoms:
V1 0.0346 0.9457 0.2402
V2 0.0543 0.5346 0.7402
V3 0.1022 0.2601 0.0131
V4 0.1585 0.8331 0.7316
V5 0.1669 0.6585 0.2316
V6 0.2399 0.1022 0.4869
V7 0.2601 0.3978 0.4869
V8 0.3331 0.8415 0.2316
V9 0.3415 0.6669 0.7316
V10 0.3978 0.2399 0.0131
V11 0.4457 0.9654 0.7402
V12 0.4654 0.5543 0.2402
V13 0.5346 0.4457 0.7598
V14 0.5543 0.0346 0.2598
V15 0.6022 0.7601 0.9869
V16 0.6585 0.3331 0.2684
V17 0.6669 0.1585 0.7684
V18 0.7399 0.6022 0.5131
V19 0.7601 0.8978 0.5131
V20 0.8331 0.3415 0.7684
V21 0.8415 0.1669 0.2684
V22 0.8978 0.7399 0.9869
V23 0.9457 0.4654 0.2598
V24 0.9654 0.0543 0.7598
P1 0.0419 0.2702 0.5156
P2 0.2298 0.0419 0.9844
P3 0.2702 0.4581 0.9844
P4 0.4581 0.2298 0.5156
P5 0.5419 0.7702 0.4844
P6 0.7298 0.5419 0.0156
P7 0.7702 0.9581 0.0156
P8 0.9581 0.7298 0.4844